Compound: P2Se
Source: the Materials Project database
Functional: PBE
Structure: relaxed

Properties
The calculation puts the MP2020-corrected energy at -27.7 eV/cell. The density is 4.3 g/cm³.

Cell: 5.2642 5.2642 5.2642 Å, 103.69 103.69 121.78°
Positions (direct):
P: 0.1250 0.3750 0.2500
Se: 0.7500 0.2500 0.5000
Se: 0.5000 0.5000 0.0000
P: 0.1250 0.8750 0.7500
P: 0.6250 0.8750 0.7500
P: 0.1250 0.8750 0.2500

=====

Compound: NaDyO2
Source: the Materials Project database
Functional: PBE
Structure: relaxed

Properties
The calculation puts the MP2020-corrected energy at -56.8 eV/cell. The density is 6.5 g/cm³.

Cell: 6.1357 6.1357 6.1357 Å, 135.68 135.68 64.48°
Positions (direct):
O: 0.7215 0.7215 0.0000
Na: 0.0000 0.0000 0.0000
O: 0.4715 0.9715 0.5000
Na: 0.7500 0.2500 0.5000
Dy: 0.5000 0.5000 0.0000
O: 0.2785 0.2785 0.0000
Dy: 0.2500 0.7500 0.5000
O: 0.0285 0.5285 0.5000

=====

Compound: Na2HfInP3O12
Source: the Materials Project database
Functional: PBE
Structure: relaxed

Properties
The calculation puts the MP2020-corrected energy at -871.6 eV/cell. The density is 3.9 g/cm³.

Cell: 9.0059 9.0059 22.9928 Å, 90.01 89.99 120.35°
Positions (direct):
O: 0.5215 0.6874 0.2554
Hf: 0.9911 0.9975 0.1475
P: 0.0003 0.7076 0.7484
In: 0.0099 0.0025 0.8501
Na: 0.9994 0.9982 0.4961
O: 0.8152 0.9976 0.4111
P: 0.9591 0.3330 0.5817
Na: 0.0018 0.0006 0.9961
O: 0.3580 0.4853 0.3597
O: 0.8805 0.3688 0.6351
O: 0.4976 0.3599 0.4226
Na: 0.3328 0.6648 0.1628
O: 0.3357 0.8515 0.5777
O: 0.8385 0.5273 0.7430
Na: 0.6417 0.6356 0.7484
O: 0.6927 0.5315 0.5332
P: 0.6298 0.9635 0.4172
O: 0.1406 0.4461 0.9723
O: 0.6438 0.5282 0.6425
P: 0.7032 0.7035 0.2505
In: 0.3308 0.6568 0.0168
P: 0.9631 0.6302 0.0839
O: 0.8310 0.0265 0.0893
O: 0.4685 0.3073 0.0332
Na: 0.6685 0.3339 0.3294
O: 0.8492 0.5385 0.0299
O: 0.3593 0.8648 0.8666
P: 0.0365 0.3702 0.9172
O: 0.8613 0.4951 0.4227
P: 0.3698 0.0369 0.5839
O: 0.1282 0.4842 0.8632
O: 0.6459 0.1452 0.4221
O: 0.4615 0.1508 0.5299
O: 0.9735 0.1690 0.5893
Na: 0.0310 0.6916 0.5817
O: 0.0024 0.1848 0.9111
O: 0.6691 0.5182 0.2444
P: 0.7070 0.0010 0.7526
O: 0.1825 0.2051 0.6965
O: 0.1643 0.6932 0.7560
O: 0.0151 0.8217 0.4122
O: 0.6818 0.1551 0.7455
O: 0.3126 0.4785 0.7554
O: 0.2138 0.0354 0.3018
O: 0.6913 0.1520 0.0263
O: 0.0260 0.1982 0.1999
Na: 0.3644 0.3583 0.2484
O: 0.1394 0.4948 0.5763
O: 0.4740 0.1127 0.6390
O: 0.3105 0.8616 0.9759
O: 0.5158 0.8718 0.3632
Hf: 0.6692 0.3422 0.9809
Hf: 0.3244 0.6641 0.8142
In: 0.9975 0.9901 0.3501
Na: 0.6977 0.0249 0.9151
O: 0.8480 0.3087 0.5263
O: 0.6312 0.1195 0.1351
O: 0.5147 0.6420 0.8597
P: 0.6657 0.6263 0.5859
P: 0.3336 0.3742 0.4150
P: 0.3737 0.3343 0.0859
O: 0.5052 0.8606 0.0763
O: 0.1485 0.6643 0.0777
Na: 0.9751 0.3023 0.4151
O: 0.5472 0.7021 0.9684
In: 0.6641 0.3235 0.6835
Na: 0.6661 0.3315 0.8294
O: 0.1946 0.1618 0.0894
Hf: 0.0025 0.0089 0.6475
O: 0.8548 0.3541 0.9221
P: 0.6670 0.0409 0.0817
P: 0.6258 0.6664 0.9150
O: 0.0247 0.8186 0.6930
O: 0.1814 0.9753 0.1930
Na: 0.3352 0.6672 0.6628
O: 0.8018 0.9740 0.6999
O: 0.5280 0.8284 0.7561
P: 0.3324 0.9597 0.9192
In: 0.6765 0.3359 0.1835
O: 0.4718 0.3562 0.1425
O: 0.8073 0.7794 0.3056
O: 0.2206 0.1927 0.8056
P: 0.2924 0.9997 0.2484
P: 0.9990 0.2930 0.2526
O: 0.4727 0.1615 0.2430
O: 0.3068 0.8357 0.2560
O: 0.9771 0.1949 0.3092
Hf: 0.3359 0.6756 0.3142
O: 0.5049 0.1387 0.9227
O: 0.5539 0.8594 0.4723
O: 0.1716 0.4720 0.2561
O: 0.1881 0.0208 0.5887
O: 0.6401 0.5024 0.9226
O: 0.1352 0.6407 0.3666
O: 0.5116 0.6516 0.5788
O: 0.9792 0.8119 0.0887
O: 0.3484 0.4884 0.0788
Hf: 0.6578 0.3308 0.4809
O: 0.8051 0.0229 0.8092
In: 0.3432 0.6692 0.5168
O: 0.8873 0.5260 0.1390
O: 0.4818 0.3309 0.7444
O: 0.2979 0.4528 0.4684
O: 0.8060 0.8281 0.9097
O: 0.1719 0.1940 0.4097
O: 0.1783 0.9849 0.9122
O: 0.7949 0.8175 0.1965
O: 0.1384 0.6895 0.4759
O: 0.9646 0.7862 0.8018
Na: 0.3084 0.9690 0.0817
O: 0.8382 0.8054 0.5894
O: 0.8449 0.3182 0.2455
P: 0.0403 0.6676 0.4192
P: 0.2965 0.2968 0.7505

=====

Compound: MnH8C2NCl3
Source: the Materials Project database
Functional: PBE
Structure: relaxed

Properties
The calculation puts the MP2020-corrected energy at -311.2 eV/cell. The density is 1.8 g/cm³.

Cell: 13.3944 6.4983 9.0238 Å, 79.83 90.00 90.00°
Positions (direct):
H: 0.4582 0.0713 0.1120
H: 0.4214 0.2936 0.4610
H: 0.9813 0.8427 0.2343
H: 0.0418 0.5713 0.1120
H: 0.0582 0.5052 0.3122
H: 0.1625 0.5970 0.1919
H: 0.9214 0.2064 0.5390
H: 0.8124 0.1307 0.6491
H: 0.3124 0.3693 0.3509
C: 0.1069 0.8918 0.3585
H: 0.4813 0.6573 0.7657
H: 0.5418 0.9287 0.8880
Cl: 0.3288 0.7087 0.9943
H: 0.1876 0.8693 0.3509
Cl: 0.1712 0.2087 0.9943
H: 0.5899 0.4438 0.6407
H: 0.9418 0.4948 0.6878
C: 0.4180 0.1088 0.2092
H: 0.5786 0.7064 0.5390
Cl: 0.8288 0.7913 0.0057
H: 0.3375 0.0970 0.1919
Cl: 0.6712 0.2913 0.0057
Mn: 0.2456 0.5187 0.7968
H: 0.9193 0.0692 0.8706
H: 0.4101 0.5562 0.3593
N: 0.5581 0.6722 0.7748
H: 0.5582 0.9948 0.6878
H: 0.4418 0.0052 0.3122
Cl: 0.8930 0.2243 0.2005
Cl: 0.3930 0.2757 0.7995
C: 0.3931 0.3918 0.3585
Mn: 0.7544 0.4813 0.2032
H: 0.6876 0.6307 0.6491
H: 0.8375 0.4030 0.8081
Cl: 0.6671 0.1895 0.3876
Mn: 0.2544 0.0187 0.7968
Mn: 0.7456 0.9813 0.2032
H: 0.0807 0.9308 0.1294
Cl: 0.1671 0.3105 0.6124
N: 0.0581 0.8278 0.2252
H: 0.0899 0.0562 0.3593
N: 0.9419 0.1722 0.7748
C: 0.9180 0.3912 0.7908
H: 0.4193 0.4308 0.1294
H: 0.5807 0.5692 0.8706
H: 0.5187 0.3427 0.2343
C: 0.6069 0.6082 0.6415
H: 0.0786 0.7936 0.4610
H: 0.9582 0.4287 0.8880
Cl: 0.1070 0.7757 0.7995
C: 0.5820 0.8912 0.7908
Cl: 0.3329 0.8105 0.6124
C: 0.0820 0.6088 0.2092
H: 0.9101 0.9438 0.6407
Cl: 0.6070 0.7243 0.2005
Cl: 0.8329 0.6895 0.3876
H: 0.0187 0.1573 0.7657
N: 0.4419 0.3278 0.2252
C: 0.8931 0.1082 0.6415
H: 0.6625 0.9030 0.8081

=====

Compound: Cr4Cu3Se8
Source: the Materials Project database
Functional: PBE
Structure: relaxed

Properties
The calculation puts the MP2020-corrected energy at -88.9 eV/cell. The density is 5.8 g/cm³.

Cell: 7.4967 7.4967 7.4967 Å, 120.44 119.96 89.65°
Positions (direct):
Se: 0.5122 0.2505 0.7383
Se: 0.9810 0.2445 0.7365
Cr: 0.7543 0.4949 0.7407
Se: 0.9919 0.2269 0.2350
Se: 0.9716 0.7508 0.2208
Cu: 0.3747 0.3747 0.0000
Cr: 0.2490 0.0091 0.2400
Se: 0.9919 0.7569 0.7650
Se: 0.5299 0.7508 0.7792
Cu: 0.1186 0.6186 0.5000
Se: 0.5122 0.7739 0.2617
Se: 0.5080 0.2445 0.2635
Cu: 0.3514 0.8514 0.5000
Cr: 0.7691 0.0091 0.7600
Cr: 0.7543 0.0136 0.2593

=====

Compound: Na2In4Ga4SiS11O48
Source: the Materials Project database
Functional: PBE
Structure: relaxed

Properties
The calculation puts the MP2020-corrected energy at -1359.0 eV/cell. The density is 3.2 g/cm³.

Cell: 17.3520 8.6846 22.7865 Å, 89.97 90.05 120.11°
Positions (direct):
O: 0.7419 0.1101 0.6323
O: 0.3075 0.4957 0.9245
O: 0.5931 0.9879 0.9154
S: 0.1536 0.3003 0.7513
O: 0.0074 0.1940 0.9173
O: 0.2433 0.3721 0.1381
O: 0.4201 0.5263 0.7483
In: 0.9998 0.9924 0.8533
S: 0.5215 0.6679 0.4145
O: 0.6467 0.4560 0.4656
O: 0.7537 0.1601 0.9277
O: 0.1568 0.4435 0.4679
Si: 0.5165 0.3689 0.9186
O: 0.2844 0.8625 0.4664
Na: 0.8423 0.3470 0.3334
O: 0.6786 0.8556 0.5701
O: 0.8439 0.5254 0.2407
O: 0.4485 0.3790 0.6311
O: 0.2437 0.1343 0.9278
O: 0.3433 0.1634 0.7449
O: 0.5894 0.9672 0.1991
O: 0.7744 0.6811 0.9747
O: 0.2608 0.8865 0.3609
O: 0.9190 0.3061 0.2435
O: 0.1106 0.1957 0.8046
S: 0.8530 0.7066 0.2481
O: 0.8425 0.5524 0.5262
In: 0.3390 0.3371 0.9844
O: 0.7527 0.8587 0.3598
O: 0.5777 0.1997 0.4044
O: 0.2538 0.6418 0.5699
O: 0.8297 0.1466 0.7475
In: 0.4999 0.0007 0.6428
O: 0.7640 0.6866 0.2570
S: 0.6751 0.9768 0.9208
Na: 0.8416 0.3550 0.8304
O: 0.4190 0.3092 0.2422
O: 0.2499 0.3461 0.4194
O: 0.1701 0.4816 0.7565
S: 0.3053 0.6629 0.9199
S: 0.3527 0.0020 0.7479
O: 0.1847 0.8741 0.5759
O: 0.3946 0.9886 0.6932
O: 0.5132 0.8282 0.4055
O: 0.9814 0.7798 0.8096
O: 0.7624 0.8296 0.7587
S: 0.6470 0.2940 0.7477
O: 0.3291 0.1498 0.4198
S: 0.3536 0.7087 0.2523
S: 0.9796 0.6273 0.0847
O: 0.9303 0.2965 0.5284
O: 0.1602 0.8510 0.2550
O: 0.5666 0.6565 0.0873
O: 0.6923 0.9047 0.8674
O: 0.9928 0.1642 0.5870
O: 0.9417 0.5115 0.1378
O: 0.1102 0.0449 0.2994
Na: 0.3418 0.3341 0.8360
O: 0.8542 0.1646 0.0340
Ga: 0.8349 0.3366 0.9859
O: 0.0516 0.4773 0.8700
In: 0.6629 0.6569 0.0221
O: 0.5818 0.6991 0.7538
O: 0.0102 0.8016 0.6881
O: 0.2638 0.6885 0.9736
O: 0.7289 0.1476 0.5269
O: 0.9037 0.8161 0.5823
In: 0.1623 0.6710 0.5139
O: 0.0911 0.9735 0.1945
S: 0.3325 0.6239 0.5781
O: 0.4137 0.0126 0.0981
Ga: 0.3345 0.3344 0.4813
Ga: 0.5006 0.0000 0.3521
O: 0.2352 0.1562 0.5254
O: 0.0724 0.7112 0.4722
O: 0.6069 0.1887 0.8012
In: 0.4995 0.0070 0.8540
O: 0.7682 0.8352 0.4665
O: 0.4085 0.9895 0.4030
O: 0.7375 0.3499 0.4173
O: 0.9410 0.3444 0.6348
O: 0.4251 0.5682 0.0371
O: 0.3930 0.8210 0.1995
O: 0.6828 0.4843 0.0848
S: 0.1894 0.0470 0.5788
O: 0.1820 0.8807 0.8694
Ga: 0.6654 0.6692 0.5159
S: 0.0000 0.2842 0.2500
O: 0.5688 0.4464 0.9803
O: 0.1019 0.2239 0.6973
In: 0.1581 0.6654 0.8126
O: 0.4231 0.3104 0.5257
S: 0.8475 0.9981 0.7524
O: 0.4135 0.7876 0.3042
O: 0.0112 0.2003 0.1968
O: 0.0687 0.6397 0.3543
O: 0.8209 0.1294 0.1397
O: 0.9271 0.3534 0.9321
Ga: 0.3276 0.3281 0.1818
In: 0.9997 0.9934 0.6521
Ga: 0.9984 0.9984 0.1472
In: 0.8398 0.3423 0.4779
O: 0.1572 0.8466 0.9760
O: 0.5927 0.2127 0.6945
O: 0.0952 0.1741 0.0965
O: 0.3469 0.5350 0.5265
S: 0.8374 0.0501 0.0863
O: 0.2570 0.6501 0.8659
O: 0.4321 0.5150 0.1423
O: 0.3543 0.1420 0.0351
Ga: 0.8393 0.3369 0.1836
O: 0.6530 0.8396 0.2611
O: 0.3171 0.1165 0.1398
S: 0.6458 0.0011 0.2521
O: 0.4816 0.1743 0.3020
Na: 0.0024 0.9833 0.4959
O: 0.5985 0.1608 0.0946
Na: 0.5029 0.0226 0.9976
O: 0.0841 0.9650 0.9197
O: 0.9202 0.5486 0.0333
Ga: 0.0023 0.9926 0.3489
O: 0.7439 0.3435 0.1412
S: 0.9842 0.3255 0.5825
O: 0.4192 0.3551 0.9189
O: 0.7438 0.6432 0.5698
O: 0.4311 0.5077 0.4222
O: 0.2537 0.8536 0.0796
O: 0.0860 0.6824 0.7503
O: 0.2652 0.6919 0.2618
S: 0.4778 0.6355 0.0914
S: 0.1474 0.0043 0.2470
O: 0.5793 0.4686 0.2587
O: 0.9881 0.8041 0.0948
O: 0.7277 0.2921 0.0344
O: 0.5594 0.6295 0.3617
O: 0.2382 0.1709 0.2397
O: 0.5981 0.0109 0.5849
O: 0.9183 0.0350 0.0944
O: 0.5771 0.7004 0.4671
O: 0.5580 0.4803 0.8591
S: 0.8074 0.9443 0.4131
O: 0.6645 0.8730 0.9744
O: 0.3437 0.5285 0.2442
O: 0.9812 0.1685 0.3028
O: 0.0811 0.4586 0.2569
Si: 0.0207 0.6730 0.4101
In: 0.8372 0.3464 0.6827
O: 0.7583 0.8733 0.0790
O: 0.4857 0.8134 0.1002
O: 0.3179 0.5223 0.6329
S: 0.6879 0.0334 0.5791
O: 0.2378 0.1306 0.6333
O: 0.5059 0.1717 0.9176
O: 0.0099 0.8505 0.4034
Ga: 0.1636 0.6622 0.0201
O: 0.7657 0.6272 0.8681
O: 0.2672 0.8413 0.7534
S: 0.1837 0.3321 0.0855
S: 0.5004 0.7083 0.7506
Na: 0.3317 0.3311 0.3338
O: 0.7324 0.2988 0.7426
O: 0.5707 0.5024 0.5669
In: 0.6660 0.6604 0.8183
O: 0.8884 0.9813 0.6981
O: 0.8977 0.9701 0.4070
O: 0.4915 0.1839 0.5823
O: 0.1747 0.4910 0.0763
S: 0.1704 0.3719 0.4132
S: 0.0165 0.3707 0.9234
O: 0.8267 0.4971 0.9292
O: 0.0887 0.1977 0.4035
O: 0.5042 0.8044 0.6964
O: 0.9105 0.7850 0.3004
O: 0.9044 0.0354 0.8049
O: 0.1008 0.0316 0.5793
S: 0.4830 0.3434 0.5768
O: 0.7357 0.1599 0.2445
O: 0.9075 0.5042 0.7489
O: 0.8929 0.8174 0.1951
O: 0.4080 0.0335 0.8005
Ga: 0.6638 0.6624 0.3129
Ga: 0.1638 0.6644 0.3152
Ga: 0.5003 0.0018 0.1540
O: 0.8107 0.1172 0.4175
O: 0.8124 0.5298 0.6318
O: 0.9218 0.4931 0.4122
S: 0.4993 0.2905 0.2503
O: 0.6767 0.4886 0.3594
O: 0.0679 0.6463 0.0750
Si: 0.9976 0.6997 0.7499
S: 0.8178 0.6600 0.9224
In: 0.3371 0.3395 0.6829
O: 0.9057 0.8193 0.9189
O: 0.1906 0.4914 0.3618
S: 0.6599 0.3750 0.4125
O: 0.6055 0.0382 0.3041
S: 0.3190 0.9680 0.4128
O: 0.0728 0.4838 0.5778
O: 0.4867 0.7889 0.8040
S: 0.8262 0.6342 0.5782
O: 0.2218 0.2917 0.0341
S: 0.3331 0.0306 0.0879
O: 0.5168 0.2133 0.1971
S: 0.1654 0.9541 0.9227
O: 0.0733 0.4573 0.9759
O: 0.6597 0.4732 0.7520
O: 0.3968 0.8167 0.9182
S: 0.6892 0.3229 0.0882
O: 0.4140 0.7998 0.5821
O: 0.2412 0.3069 0.7481